Material: Na4TiGaSi2PO12
Method: DFT, PBE
State: relaxed

Results
final energy: -6.77 eV per atom
ΔH_f (0 K): -2.790 eV/atom

Unit cell a=8.9346 b=8.9346 c=21.8841 alpha=90.02 beta=89.98 gamma=119.63
Fractional coordinates of all 126 atoms:
Si  0.0408  0.3730  0.9172
Na  0.3033  0.3371  0.5835
Na  0.0403  0.3411  0.0827
Na  0.3255  0.2931  0.9160
O  0.1834  0.0268  0.5883
O  0.8290  0.0333  0.8111
Na  0.6717  0.3359  0.3314
Ti  0.9982  0.0004  0.6478
O  0.8045  0.8247  0.9111
Si  0.0433  0.6690  0.4178
Si  0.6643  0.6234  0.5844
O  0.0167  0.1798  0.9121
Na  0.7069  0.6745  0.4160
Na  0.9643  0.2953  0.4138
O  0.1670  0.6972  0.7545
O  0.5062  0.1486  0.9215
O  0.2135  0.1703  0.8102
Ga  0.6552  0.3249  0.6841
Na  0.3384  0.6693  0.6648
Na  0.9974  0.9949  0.4981
Na  0.3736  0.0078  0.7494
O  0.6361  0.4997  0.9212
P  0.6226  0.6677  0.9176
Ga  0.3219  0.6582  0.0174
Ga  0.0085  0.0115  0.8507
O  0.4897  0.6384  0.5779
P  0.3323  0.3774  0.4176
Si  0.3310  0.9567  0.9178
O  0.9694  0.1664  0.5879
Si  0.3742  0.0397  0.5839
O  0.5430  0.7013  0.9750
O  0.3000  0.8376  0.9777
O  0.8801  0.5037  0.1436
Ti  0.6662  0.3351  0.4812
O  0.3616  0.5103  0.0779
O  0.9653  0.7903  0.8083
Na  0.6589  0.9597  0.5827
O  0.8019  0.9662  0.6909
O  0.4963  0.1199  0.6436
O  0.3500  0.8465  0.5788
Na  0.9922  0.6264  0.2494
O  0.6975  0.1614  0.0269
Na  0.6310  0.6287  0.7471
P  0.9990  0.7107  0.7510
O  0.6320  0.1236  0.1416
Si  0.9976  0.2900  0.2511
O  0.8336  0.0306  0.0879
O  0.1729  0.4820  0.2548
Na  0.3307  0.6616  0.1648
O  0.8027  0.8357  0.1911
O  0.8386  0.3025  0.5269
O  0.1360  0.5023  0.8578
Si  0.2937  0.2925  0.7505
O  0.6333  0.5043  0.6444
O  0.9732  0.8166  0.0883
Na  0.3713  0.3690  0.2471
Si  0.3766  0.3357  0.0844
Ga  0.6751  0.3448  0.1841
O  0.1564  0.9717  0.9113
O  0.5003  0.3639  0.4212
P  0.6657  0.0440  0.0843
O  0.5053  0.6358  0.8603
O  0.8202  0.9833  0.4121
Si  0.9603  0.6258  0.0839
Na  0.9962  0.3634  0.7502
O  0.4957  0.3667  0.1444
O  0.8310  0.5307  0.0244
Si  0.7100  0.0024  0.7511
O  0.4977  0.8640  0.3578
O  0.1624  0.7000  0.4777
Na  0.6366  0.0038  0.2502
O  0.4869  0.3167  0.7455
O  0.1353  0.6329  0.3576
Na  0.6629  0.6967  0.0835
Si  0.7075  0.7063  0.2505
Na  0.6641  0.3283  0.8314
O  0.8420  0.5288  0.7444
O  0.1753  0.1955  0.4111
O  0.8501  0.3601  0.9217
Ti  0.9996  0.0018  0.1478
Na  0.3295  0.0301  0.4169
O  0.5086  0.8621  0.0778
Na  0.2976  0.9620  0.0804
O  0.1535  0.6500  0.0788
O  0.6399  0.1499  0.4217
O  0.8231  0.3051  0.2446
Ti  0.3329  0.6684  0.8145
O  0.2987  0.4570  0.4750
O  0.3065  0.4832  0.7550
O  0.9667  0.1710  0.3111
O  0.2097  0.0347  0.3083
Na  0.0380  0.7024  0.5804
O  0.8297  0.7865  0.3102
O  0.7005  0.5314  0.5242
O  0.4693  0.1690  0.5244
Na  0.9699  0.6705  0.9169
O  0.3642  0.4947  0.3603
O  0.8396  0.8153  0.5882
O  0.6833  0.5131  0.2455
Ti  0.3316  0.6671  0.3145
O  0.0309  0.8281  0.6936
O  0.5168  0.6935  0.2550
Na  0.7047  0.0357  0.9138
Ga  0.9885  0.9915  0.3507
O  0.3028  0.8330  0.2545
O  0.0338  0.1981  0.1909
Na  0.0051  0.0026  0.9981
O  0.8514  0.4938  0.4215
Ti  0.6649  0.3338  0.9812
O  0.1847  0.1604  0.0882
O  0.1379  0.4914  0.5778
O  0.5180  0.8271  0.7548
O  0.4686  0.2995  0.0242
O  0.8764  0.3680  0.6416
O  0.5468  0.8370  0.4769
O  0.1719  0.9691  0.1936
O  0.1643  0.1973  0.6911
P  0.2893  0.0010  0.2510
O  0.3671  0.8647  0.8576
P  0.9560  0.3343  0.5843
Si  0.6270  0.9592  0.4172
O  0.4712  0.1580  0.2444
O  0.6949  0.1769  0.7446
O  0.0283  0.8436  0.4113
O  0.1630  0.4532  0.9769
Ga  0.3418  0.6781  0.5174